DFT (PBE) results for a geometry-optimized Y2MgSe4 structure.

```
Y2MgSe4
1.0
13.2345 0.0000 0.0000
0.0000 7.9076 0.0000
0.0000 0.0000 13.4384
Se Y Mg
32 16 8
Direct
0.4876 0.8777 0.3779
0.9574 0.1279 0.6368
0.2884 0.8789 0.0033
0.7696 0.3685 0.2784
0.7687 0.8722 0.2776
0.7116 0.1211 0.5033
0.9876 0.1223 0.3779
0.9787 0.6269 0.3687
0.7313 0.8722 0.7776
0.5340 0.6227 0.1301
0.0340 0.3773 0.1301
0.2304 0.6315 0.7784
0.2696 0.6315 0.2784
0.4574 0.8721 0.6368
0.2116 0.8789 0.5033
0.2123 0.3793 0.5192
0.4787 0.3731 0.3687
0.4660 0.3773 0.6301
0.5213 0.6269 0.8687
0.2877 0.3793 0.0192
0.5124 0.1223 0.8779
0.0124 0.8777 0.8779
0.0213 0.3731 0.8687
0.7304 0.3685 0.7784
0.2313 0.1278 0.7776
0.2687 0.1278 0.2776
0.7123 0.6207 0.5192
0.7877 0.6207 0.0192
0.7884 0.1211 0.0033
0.5426 0.1279 0.1368
0.0426 0.8721 0.1368
0.9660 0.6227 0.6301
0.6277 0.6196 0.3269
0.6076 0.1183 0.6857
0.8723 0.6196 0.8269
0.1334 0.1284 0.9911
0.8924 0.1183 0.1857
0.3723 0.3804 0.8269
0.8666 0.8716 0.4911
0.3923 0.8817 0.1857
0.3666 0.1284 0.4911
0.3669 0.6278 0.4901
0.6334 0.8716 0.9911
0.1277 0.3804 0.3269
0.1076 0.8817 0.6857
0.6331 0.3722 0.9901
0.8669 0.3722 0.4901
0.1331 0.6278 0.9901
0.1267 0.8772 0.3207
0.6267 0.1228 0.3207
0.3733 0.8772 0.8207
0.8733 0.1228 0.8207
0.6102 0.6197 0.6904
0.1102 0.3803 0.6904
0.8898 0.6197 0.1904
0.3898 0.3803 0.1904
```

energy of formation = -188 kJ/mol of atoms
polymorph energy (0 for the lowest one) = 0.026 eV per atom
E_tot = -322.0 eV per cell
mass density = 4893 kg/m³